No. 1
Computed, not measured: Mg2Cu2P2H12O15 after structural relaxation at the PBE-GGA level of DFT.

Properties
Formation energy: -1.79 eV per atom
Size of the total moment: 0.06 μB per atom
E: -372.05 eV for the cell shown

abc: 5.043 10.592 11.627
angles: 79.99 77.51 90.00
Space group P1 (No. 1)
Unique sites:
1 Mg 0.000 0.000 0.000 x1
2 Mg 0.084 0.070 0.478 x1
3 Mg 0.330 0.501 0.001 x1
4 Mg 0.761 0.570 0.480 x1
5 Cu 0.140 0.900 0.747 x1
6 Cu 0.438 0.403 0.748 x1
7 Cu 0.649 0.668 0.732 x1
8 Cu 0.942 0.168 0.733 x1
9 P 0.216 0.763 0.547 x1
10 P 0.524 0.807 0.931 x1
11 P 0.563 0.264 0.547 x1
12 P 0.874 0.307 0.933 x1
13 H 0.007 0.370 0.422 x1
14 H 0.082 0.700 0.057 x1
15 H 0.172 0.605 0.783 x1
16 H 0.186 0.768 0.310 x1
17 H 0.189 0.203 0.059 x1
18 H 0.250 0.451 0.440 x1
19 H 0.262 0.465 0.246 x1
20 H 0.269 0.102 0.235 x1
21 H 0.272 0.802 0.163 x1
22 H 0.372 0.105 0.778 x1
23 H 0.451 0.123 0.039 x1
24 H 0.486 0.176 0.278 x1
25 H 0.523 0.392 0.202 x1
26 H 0.556 0.677 0.282 x1
27 H 0.599 0.896 0.200 x1
28 H 0.629 0.949 0.439 x1
29 H 0.712 0.970 0.698 x1
30 H 0.819 0.971 0.242 x1
31 H 0.820 0.604 0.236 x1
32 H 0.825 0.265 0.310 x1
33 H 0.834 0.624 0.037 x1
34 H 0.890 0.869 0.419 x1
35 H 0.894 0.303 0.163 x1
36 H 0.919 0.465 0.696 x1
37 O 0.000 0.611 0.073 x1
38 O 0.030 0.751 0.681 x1
39 O 0.036 0.724 0.465 x1
40 O 0.054 0.345 0.015 x1
41 O 0.064 0.315 0.800 x1
42 O 0.086 0.460 0.404 x1
43 O 0.199 0.057 0.814 x1
44 O 0.250 0.113 0.076 x1
45 O 0.263 0.846 0.014 x1
46 O 0.308 0.906 0.508 x1
47 O 0.314 0.557 0.814 x1
48 O 0.317 0.121 0.308 x1
49 O 0.317 0.177 0.556 x1
50 O 0.338 0.785 0.239 x1
51 O 0.383 0.446 0.172 x1
52 O 0.453 0.676 0.555 x1
53 O 0.465 0.818 0.798 x1
54 O 0.506 0.406 0.510 x1
55 O 0.583 0.665 0.971 x1
56 O 0.620 0.253 0.682 x1
57 O 0.639 0.396 0.924 x1
58 O 0.703 0.624 0.309 x1
59 O 0.749 0.282 0.237 x1
60 O 0.767 0.896 0.921 x1
61 O 0.774 0.165 0.974 x1
62 O 0.775 0.513 0.665 x1
63 O 0.777 0.944 0.170 x1
64 O 0.824 0.225 0.464 x1
65 O 0.830 0.959 0.403 x1
66 O 0.889 0.015 0.665 x1



No. 2
Computed, not measured: NaMg14BO15 after structural relaxation at the PBE-GGA level of DFT.

Properties
Formation energy: -2.74 eV per atom
Size of the total moment: 0.00 μB per atom
E: -179.19 eV for the cell shown

abc: 4.325 8.262 8.702
angles: 90.00 90.00 90.00
Space group Pmm2 (No. 25)
Unique sites:
1 Na 0.000 0.000 0.000 x1
2 Mg 0.000 0.000 0.499 x1
3 Mg 0.000 0.248 0.746 x2
4 Mg 0.000 0.258 0.252 x2
5 Mg 0.000 0.500 0.495 x1
6 Mg 0.500 0.000 0.244 x1
7 Mg 0.500 0.000 0.753 x1
8 Mg 0.500 0.250 0.500 x2
9 Mg 0.500 0.259 0.997 x2
10 Mg 0.500 0.500 0.237 x1
11 Mg 0.500 0.500 0.754 x1
12 B 0.000 0.500 0.936 x1
13 O 0.000 0.000 0.259 x1
14 O 0.000 0.000 0.741 x1
15 O 0.000 0.253 0.505 x2
16 O 0.000 0.328 0.988 x2
17 O 0.000 0.500 0.270 x1
18 O 0.500 0.000 0.499 x1
19 O 0.500 0.000 0.998 x1
20 O 0.500 0.251 0.751 x2
21 O 0.500 0.252 0.244 x2
22 O 0.500 0.500 0.511 x1
23 O 0.500 0.500 0.988 x1



No. 3
Computed, not measured: Ti2S3 after structural relaxation at the PBE-GGA level of DFT.

Properties
Formation energy: -1.71 eV per atom
E: -140.90 eV for the cell shown

abc: 5.948 10.282 6.055
angles: 90.00 109.20 90.00
Space group C2/m (No. 12)
Unique sites:
1 Ti 0.000 0.000 0.000 x2
2 Ti 0.000 0.172 0.500 x4
3 Ti 0.000 0.500 0.500 x2
4 S 0.250 0.000 0.747 x4
5 S 0.250 0.167 0.243 x8